Entry 1:
Material: YPOs2C
Method: DFT, PBE
State: relaxed

Output
Volume = 15.08 A^3/atom
Size of the total moment = 0.009 μB/cell
Uncorrected energy = -9.197 eV per atom
Calculated formation energy = -484 meV per atom
Space group = Cmcm (63)

Cell: 5.894 5.894 7.052 Å, 90.00 90.00 142.01°
Positions (direct):
Os1 0.166 0.834 0.948
C1 0.000 0.000 0.000
C2 0.000 0.000 0.500
P1 0.269 0.731 0.250
Os2 0.834 0.166 0.052
Os3 0.834 0.166 0.448
Y1 0.456 0.544 0.750
P2 0.731 0.269 0.750
Os4 0.166 0.834 0.552
Y2 0.544 0.456 0.250



Entry 2:
Material: Pr12Os5C15
Method: DFT, PBE
State: relaxed

Output
Volume = 17.86 A^3/atom
Uncorrected energy = -8.089 eV per atom
Calculated formation energy = -216 meV per atom
Space group = P-62m (189)

Cell: 11.052 11.052 5.401 Å, 90.00 90.00 120.00°
Positions (direct):
C1 0.712 0.187 0.500
C2 0.199 0.199 0.000
C3 0.670 0.670 0.000
C4 0.000 0.330 0.000
Os1 0.667 0.333 0.500
Pr1 0.726 0.184 0.000
Pr2 0.184 0.726 0.000
Pr3 0.274 0.458 0.000
C5 0.813 0.525 0.500
Pr4 0.000 0.794 0.500
Os2 0.000 0.160 0.000
Pr5 0.573 0.573 0.500
C6 0.801 0.000 0.000
Pr6 0.816 0.542 0.000
Pr7 0.542 0.816 0.000
Os3 0.840 0.840 0.000
C7 0.288 0.475 0.500
C8 0.187 0.712 0.500
C9 0.525 0.813 0.500
Pr8 0.427 0.000 0.500
Pr9 0.000 0.427 0.500
C10 0.330 0.000 0.000
C11 0.475 0.288 0.500
C12 0.000 0.451 0.000
Pr10 0.206 0.206 0.500
Pr11 0.458 0.274 0.000
C13 0.451 0.000 0.000
Os4 0.160 0.000 0.000
C14 0.549 0.549 0.000
Os5 0.333 0.667 0.500
C15 0.000 0.801 0.000
Pr12 0.794 0.000 0.500



Entry 3:
Material: YSiOs2C
Method: DFT, PBE
State: relaxed

Output
Volume = 15.44 A^3/atom
Size of the total moment = 0.000 μB/cell
Uncorrected energy = -9.225 eV per atom
Calculated formation energy = -510 meV per atom
Space group = Cmcm (63)

Cell: 5.891 5.891 7.154 Å, 90.00 90.00 141.55°
Positions (direct):
Si1 0.267 0.733 0.250
Si2 0.733 0.267 0.750
Os1 0.165 0.835 0.559
Os2 0.835 0.165 0.441
C1 0.000 0.000 0.000
Os3 0.835 0.165 0.059
Y1 0.454 0.546 0.750
Os4 0.165 0.835 0.941
C2 0.000 0.000 0.500
Y2 0.546 0.454 0.250



Entry 4:
Material: Sm12Os5C15
Method: DFT, PBE
State: relaxed

Output
Volume = 16.83 A^3/atom
Uncorrected energy = -8.134 eV per atom
Calculated formation energy = -285 meV per atom
Space group = P-62m (189)

Cell: 5.252 10.881 10.881 Å, 120.00 90.00 90.00°
Positions (direct):
C1 0.000 0.334 0.000
C2 0.500 0.472 0.286
Sm1 0.500 0.000 0.430
C3 0.000 0.544 0.544
Os1 0.000 0.161 0.000
C4 0.000 0.796 0.000
Sm2 0.000 0.816 0.543
C5 0.500 0.286 0.472
C6 0.500 0.815 0.528
Sm3 0.500 0.000 0.794
Os2 0.000 0.839 0.839
Os3 0.500 0.333 0.667
C7 0.000 0.000 0.334
C8 0.000 0.000 0.456
C9 0.500 0.714 0.185
C10 0.500 0.185 0.714
C11 0.000 0.666 0.666
Sm4 0.000 0.543 0.816
C12 0.000 0.000 0.796
Sm5 0.500 0.794 0.000
C13 0.000 0.204 0.204
Sm6 0.000 0.457 0.274
Sm7 0.500 0.570 0.570
Sm8 0.500 0.430 0.000
Sm9 0.000 0.184 0.726
Os4 0.000 0.000 0.161
Sm10 0.000 0.726 0.184
C14 0.000 0.456 0.000
C15 0.500 0.528 0.815
Sm11 0.500 0.206 0.206
Os5 0.500 0.667 0.333
Sm12 0.000 0.274 0.457



Entry 5:
Material: U2OsC2
Method: DFT, PBE
State: relaxed

Output
Volume = 14.88 A^3/atom
Uncorrected energy = -10.647 eV per atom
Calculated formation energy = -194 meV per atom
Space group = I4/mmm (139)

Cell: 6.712 6.712 6.712 Å, 150.22 150.22 42.62°
Positions (direct):
U1 0.354 0.354 0.000
C1 0.829 0.829 0.000
Os1 0.000 0.000 0.000
U2 0.646 0.646 0.000
C2 0.171 0.171 0.000



Entry 6:
Material: Os3W3C2
Method: DFT, PBE
State: relaxed

Output
Volume = 13.07 A^3/atom
Size of the total moment = 0.011 μB/cell
Uncorrected energy = -10.736 eV per atom
Calculated formation energy = 641 meV per atom
Space group = P-3m1 (164)

Cell: 2.849 2.849 14.872 Å, 90.00 90.00 120.00°
Positions (direct):
W1 0.333 0.667 0.338
C1 0.333 0.667 0.100
W2 0.000 0.000 0.500
C2 0.667 0.333 0.900
W3 0.667 0.333 0.662
Os1 0.000 0.000 0.000
Os2 0.667 0.333 0.190
Os3 0.333 0.667 0.810



Entry 7:
Material: Zr4Os2C
Method: DFT, PBE
State: relaxed

Output
Volume = 17.54 A^3/atom
Size of the total moment = 0.011 μB/cell
Uncorrected energy = -9.903 eV per atom
Calculated formation energy = -492 meV per atom
Space group = Fd-3m (227)

Cell: 8.856 8.856 8.856 Å, 60.00 60.00 60.00°
Positions (direct):
Os1 0.753 0.416 0.416
Zr1 0.437 0.063 0.437
C1 0.625 0.125 0.125
Zr2 0.813 0.187 0.813
Zr3 0.437 0.437 0.063
Os2 0.834 0.497 0.834
Zr4 0.187 0.813 0.813
Os3 0.834 0.834 0.834
Os4 0.497 0.834 0.834
C2 0.125 0.125 0.625
Zr5 0.187 0.813 0.187
Zr6 0.063 0.437 0.063
Zr7 0.187 0.187 0.813
Zr8 0.625 0.625 0.625
Zr9 0.625 0.625 0.125
Os5 0.416 0.753 0.416
Zr10 0.063 0.437 0.437
Zr11 0.437 0.063 0.063
Os6 0.834 0.834 0.497
C3 0.125 0.125 0.125
Os7 0.416 0.416 0.753
C4 0.125 0.625 0.125
Zr12 0.813 0.813 0.187
Zr13 0.625 0.125 0.625
Os8 0.416 0.416 0.416
Zr14 0.063 0.063 0.437
Zr15 0.125 0.625 0.625
Zr16 0.813 0.187 0.187



Entry 8:
Material: V18P9C2
Method: DFT, PBE
State: relaxed

Output
Volume = 12.27 A^3/atom
Size of the total moment = 0.145 μB/cell
Uncorrected energy = -8.759 eV per atom
Calculated formation energy = -804 meV per atom
Space group = Pmma (51)

Cell: 3.191 13.059 17.074 Å, 90.00 90.00 90.00°
Positions (direct):
V1 0.000 0.755 0.670
V2 0.000 0.245 0.170
V3 0.000 0.839 0.999
V4 0.500 0.428 0.622
V5 0.500 0.000 0.000
V6 0.000 0.562 0.250
P1 0.000 0.329 0.546
V7 0.000 0.997 0.633
C1 0.000 0.996 0.250
V8 0.500 0.572 0.122
P2 0.000 0.433 0.358
V9 0.000 0.438 0.750
P3 0.500 0.129 0.896
P4 0.500 0.308 0.750
V10 0.000 0.500 0.000
V11 0.000 0.500 0.500
V12 0.000 0.161 0.499
V13 0.000 0.997 0.867
V14 0.500 0.346 0.442
P5 0.500 0.692 0.250
C2 0.500 0.750 0.750
V15 0.500 0.000 0.500
V16 0.500 0.654 0.942
V17 0.000 0.759 0.338
P6 0.500 0.861 0.899
P7 0.500 0.871 0.104
C3 0.500 0.250 0.250
P8 0.500 0.139 0.399
C4 0.000 0.004 0.750
V18 0.000 0.003 0.367
P9 0.000 0.567 0.642
V19 0.000 0.241 0.838
V20 0.500 0.902 0.750
V21 0.000 0.003 0.133
V22 0.000 0.759 0.162
V23 0.500 0.346 0.058
V24 0.500 0.600 0.750
P10 0.500 0.861 0.601
P11 0.000 0.671 0.454
P12 0.000 0.671 0.046
V25 0.000 0.241 0.662
V26 0.000 0.755 0.830
P13 0.500 0.139 0.101
V27 0.000 0.245 0.330
P14 0.000 0.567 0.858
V28 0.500 0.654 0.558
V29 0.500 0.400 0.250
V30 0.500 0.428 0.878
V31 0.500 0.894 0.250
V32 0.500 0.572 0.378
P15 0.500 0.129 0.604
P16 0.000 0.433 0.142
V33 0.500 0.098 0.250
V34 0.000 0.161 0.001
V35 0.500 0.106 0.750
V36 0.000 0.839 0.501
P17 0.000 0.329 0.954
P18 0.500 0.871 0.396



Entry 9:
Material: V3PC
Method: DFT, PBE
State: relaxed

Output
Volume = 11.40 A^3/atom
Uncorrected energy = -9.081 eV per atom
Calculated formation energy = -703 meV per atom
Space group = Cmcm (63)

Cell: 5.099 5.099 7.548 Å, 90.00 90.00 144.48°
Positions (direct):
V1 0.936 0.064 0.250
V2 0.366 0.634 0.555
C1 0.000 0.000 0.000
V3 0.366 0.634 0.945
C2 0.000 0.000 0.500
V4 0.634 0.366 0.445
V5 0.634 0.366 0.055
P1 0.252 0.748 0.250
V6 0.064 0.936 0.750
P2 0.748 0.252 0.750



Entry 10:
Material: PaC2
Method: DFT, PBE
State: relaxed

Output
Volume = 13.35 A^3/atom
Uncorrected energy = -9.585 eV per atom
Calculated formation energy = -261 meV per atom
Space group = I4/mmm (139)

Cell: 3.986 3.986 3.986 Å, 126.00 126.00 79.88°
Positions (direct):
Pa1 0.000 0.000 0.000
C1 0.612 0.612 0.000
C2 0.388 0.388 0.000



Entry 11:
Material: PbC
Method: DFT, PBE
State: relaxed

Output
Volume = 19.04 A^3/atom
Size of the total moment = 0.001 μB/cell
Uncorrected energy = -4.983 eV per atom
Calculated formation energy = 1487 meV per atom
Space group = P6_3mc (186)

Cell: 3.774 3.774 6.176 Å, 90.00 90.00 120.00°
Positions (direct):
C1 0.333 0.667 0.000
C2 0.667 0.333 0.500
Pb1 0.667 0.333 0.875
Pb2 0.333 0.667 0.375



Entry 12:
Material: Pd3PbC
Method: DFT, PBE
State: relaxed

Output
Volume = 15.89 A^3/atom
Size of the total moment = 0.000 μB/cell
Uncorrected energy = -5.502 eV per atom
Calculated formation energy = 194 meV per atom
Space group = Pm-3m (221)

Cell: 4.299 4.299 4.299 Å, 90.00 90.00 90.00°
Positions (direct):
C1 0.500 0.500 0.500
Pd1 0.000 0.500 0.500
Pd2 0.500 0.500 0.000
Pb1 0.000 0.000 0.000
Pd3 0.500 0.000 0.500



Entry 13:
Material: Pr3PbC
Method: DFT, PBE
State: relaxed

Output
Volume = 41.71 A^3/atom
Size of the total moment = 0.024 μB/cell
Uncorrected energy = -3.897 eV per atom
Calculated formation energy = 1560 meV per atom
Space group = Pm-3m (221)

Cell: 5.930 5.930 5.930 Å, 90.00 90.00 90.00°
Positions (direct):
Pr1 0.500 0.500 0.000
Pb1 0.500 0.500 0.500
C1 0.000 0.000 0.000
Pr2 0.000 0.500 0.500
Pr3 0.500 0.000 0.500



Entry 14:
Material: YPd3C
Method: DFT, PBE
State: relaxed

Output
Volume = 15.90 A^3/atom
Size of the total moment = 0.006 μB/cell
Uncorrected energy = -6.498 eV per atom
Calculated formation energy = -251 meV per atom
Space group = Pm-3m (221)

Cell: 4.300 4.300 4.300 Å, 90.00 90.00 90.00°
Positions (direct):
Pd1 0.500 0.500 0.000
Pd2 0.500 0.000 0.500
Pd3 0.000 0.500 0.500
Y1 0.000 0.000 0.000
C1 0.500 0.500 0.500



Entry 15:
Material: Pr2Re2Si2C
Method: DFT, PBE
State: relaxed

Output
Volume = 18.73 A^3/atom
Size of the total moment = 0.000 μB/cell
Uncorrected energy = -8.333 eV per atom
Calculated formation energy = -543 meV per atom
Space group = C2/m (12)

Cell: 5.981 5.981 7.234 Å, 54.68 54.68 40.00°
Positions (direct):
Si1 0.848 0.848 0.703
Pr1 0.571 0.571 0.695
Si2 0.152 0.152 0.297
Re1 0.797 0.797 0.087
C1 0.000 0.000 0.000
Re2 0.203 0.203 0.913
Pr2 0.429 0.429 0.305



Entry 16:
Material: PrRh3C
Method: DFT, PBE
State: relaxed

Output
Volume = 15.38 A^3/atom
Uncorrected energy = -7.576 eV per atom
Calculated formation energy = -356 meV per atom
Space group = Pm-3m (221)

Cell: 4.252 4.252 4.252 Å, 90.00 90.00 90.00°
Positions (direct):
C1 0.500 0.500 0.500
Rh1 0.500 0.000 0.500
Pr1 0.000 0.000 0.000
Rh2 0.500 0.500 0.000
Rh3 0.000 0.500 0.500



Entry 17:
Material: Pr3TlC
Method: DFT, PBE
State: relaxed

Output
Volume = 40.49 A^3/atom
Size of the total moment = 0.000 μB/cell
Uncorrected energy = -3.596 eV per atom
Calculated formation energy = 1591 meV per atom
Space group = Pm-3m (221)

Cell: 5.872 5.872 5.872 Å, 90.00 90.00 90.00°
Positions (direct):
Pr1 0.000 0.500 0.500
Tl1 0.500 0.500 0.500
C1 0.000 0.000 0.000
Pr2 0.500 0.500 0.000
Pr3 0.500 0.000 0.500



Entry 18:
Material: Pr2WC2
Method: DFT, PBE
State: relaxed

Output
Volume = 18.05 A^3/atom
Uncorrected energy = -8.357 eV per atom
Calculated formation energy = -162 meV per atom
Space group = P4_2/mnm (136)

Cell: 5.854 5.854 10.535 Å, 90.00 90.00 90.00°
Positions (direct):
C1 0.500 0.500 0.640
Pr1 0.197 0.197 0.343
C2 0.500 0.500 0.360
Pr2 0.803 0.803 0.343
Pr3 0.303 0.697 0.157
Pr4 0.697 0.303 0.843
C3 0.000 0.500 0.000
Pr5 0.197 0.197 0.657
Pr6 0.697 0.303 0.157
Pr7 0.803 0.803 0.657
C4 0.500 0.000 0.000
C5 0.000 0.000 0.860
W1 0.177 0.177 0.000
W2 0.323 0.677 0.500
W3 0.823 0.823 0.000
C6 0.000 0.000 0.140
Pr8 0.303 0.697 0.843
C7 0.500 0.000 0.500
C8 0.000 0.500 0.500
W4 0.677 0.323 0.500



Entry 19:
Material: SnPt3C
Method: DFT, PBE
State: relaxed

Output
Volume = 15.88 A^3/atom
Size of the total moment = 0.005 μB/cell
Uncorrected energy = -5.947 eV per atom
Calculated formation energy = 343 meV per atom
Space group = Pm-3m (221)

Cell: 4.298 4.298 4.298 Å, 90.00 90.00 90.00°
Positions (direct):
Pt1 0.500 0.500 0.000
C1 0.500 0.500 0.500
Pt2 0.500 0.000 0.500
Pt3 0.000 0.500 0.500
Sn1 0.000 0.000 0.000